{
  "formula": "LiFeF3",
  "functional": "PBE with a Hubbard U",
  "state": "optimized geometry",
  "final_energy_ev_per_atom": -5.28,
  "de_polymorph_mev_per_atom": 8.7,
  "delta_e_f_kj_per_mol_fu": -1345,
  "m_tot_mub_per_fu": 4.000,
  "lattice_angstrom": [[3.205, 0.000, 0.000], [0.000, 7.408, 0.000], [-0.005, 0.000, 4.945]],
  "species": ["Li", "Li", "Fe", "Fe", "F", "F", "F", "F", "F", "F"],
  "fractional_positions": [[0.004, 0.250, 0.468], [0.996, 0.750, 0.532], [0.500, 0.000, 0.000], [0.500, 0.500, 0.000], [0.016, 0.067, 0.756], [0.016, 0.433, 0.756], [0.497, 0.750, 0.769], [0.503, 0.250, 0.231], [0.984, 0.567, 0.244], [0.984, 0.933, 0.244]]
}

***

{
  "formula": "LiFe2F5",
  "functional": "PBE with a Hubbard U",
  "state": "optimized geometry",
  "final_energy_ev_per_atom": -4.88,
  "de_polymorph_mev_per_atom": 516.3,
  "delta_e_f_kj_per_mol_fu": -1680,
  "m_tot_mub_per_fu": 8.000,
  "lattice_angstrom": [[6.316, 0.000, 0.000], [-1.570, 7.892, 0.000], [-0.168, -2.509, 8.493]],
  "species": ["Li", "Li", "Li", "Li", "Fe", "Fe", "Fe", "Fe", "Fe", "Fe", "Fe", "Fe", "F", "F", "F", "F", "F", "F", "F", "F", "F", "F", "F", "F", "F", "F", "F", "F", "F", "F", "F", "F"],
  "fractional_positions": [[0.209, 0.439, 0.294], [0.211, 0.167, 0.807], [0.789, 0.833, 0.193], [0.791, 0.561, 0.706], [0.170, 0.793, 0.542], [0.187, 0.794, 0.046], [0.393, 0.114, 0.355], [0.394, 0.583, 0.840], [0.606, 0.417, 0.160], [0.607, 0.886, 0.645], [0.813, 0.206, 0.954], [0.830, 0.207, 0.458], [0.002, 0.732, 0.754], [0.002, 0.769, 0.244], [0.217, 0.037, 0.559], [0.219, 0.572, 0.547], [0.222, 0.577, 0.059], [0.233, 0.033, 0.053], [0.385, 0.827, 0.826], [0.392, 0.867, 0.369], [0.398, 0.345, 0.331], [0.404, 0.354, 0.881], [0.596, 0.646, 0.119], [0.602, 0.655, 0.669], [0.608, 0.133, 0.631], [0.615, 0.173, 0.174], [0.767, 0.967, 0.947], [0.778, 0.423, 0.941], [0.781, 0.428, 0.453], [0.783, 0.963, 0.441], [0.998, 0.231, 0.756], [0.998, 0.268, 0.246]]
}

***

{
  "formula": "LiFe2F5",
  "functional": "PBE with a Hubbard U",
  "state": "optimized geometry",
  "final_energy_ev_per_atom": -5.35,
  "de_polymorph_mev_per_atom": 38.0,
  "delta_e_f_kj_per_mol_fu": -2049,
  "m_tot_mub_per_fu": 8.000,
  "lattice_angstrom": [[5.875, -2.664, 0.000], [5.875, 2.664, 0.000], [-0.110, 0.000, 5.469]],
  "species": ["Li", "Li", "Fe", "Fe", "Fe", "Fe", "F", "F", "F", "F", "F", "F", "F", "F", "F", "F"],
  "fractional_positions": [[0.000, 0.500, 0.000], [0.500, 0.000, 0.500], [0.151, 0.659, 0.462], [0.341, 0.849, 0.038], [0.659, 0.151, 0.962], [0.849, 0.341, 0.538], [0.045, 0.955, 0.750], [0.132, 0.307, 0.338], [0.292, 0.531, 0.094], [0.307, 0.132, 0.838], [0.469, 0.708, 0.406], [0.531, 0.292, 0.594], [0.693, 0.868, 0.162], [0.708, 0.469, 0.906], [0.868, 0.693, 0.662], [0.955, 0.045, 0.250]]
}